Density functional theory data (GGA-PBE) for an optimized crystal structure of GaN.

a = 11.523 Å, b = 11.529 Å, c = 11.852 Å
α = 91.52°, β = 93.07°, γ = 93.25°
Fractional coordinates of all 100 atoms:
Ga 0.000 0.000 0.000
Ga 0.001 0.087 0.261
Ga 0.010 0.711 0.021
Ga 0.039 0.492 0.111
Ga 0.044 0.684 0.771
Ga 0.077 0.902 0.559
Ga 0.081 0.891 0.233
Ga 0.121 0.407 0.723
Ga 0.124 0.089 0.737
Ga 0.188 0.615 0.606
Ga 0.189 0.445 0.464
Ga 0.204 0.687 0.161
Ga 0.208 0.111 0.400
Ga 0.237 0.621 0.869
Ga 0.258 0.788 0.428
Ga 0.259 0.471 0.186
Ga 0.265 0.272 0.581
Ga 0.323 0.018 0.643
Ga 0.349 0.298 0.321
Ga 0.385 0.633 0.040
Ga 0.421 0.485 0.709
Ga 0.434 0.553 0.406
Ga 0.485 0.711 0.589
Ga 0.493 0.281 0.479
Ga 0.505 0.772 0.869
Ga 0.511 0.416 0.170
Ga 0.532 0.035 0.453
Ga 0.540 0.815 0.365
Ga 0.559 0.196 0.682
Ga 0.565 0.906 0.144
Ga 0.573 0.561 0.863
Ga 0.576 0.651 0.173
Ga 0.593 0.158 0.269
Ga 0.594 0.353 0.916
Ga 0.631 0.936 0.651
Ga 0.660 0.486 0.604
Ga 0.687 0.932 0.904
Ga 0.721 0.548 0.342
Ga 0.747 0.732 0.708
Ga 0.751 0.734 0.466
Ga 0.767 0.077 0.068
Ga 0.767 0.210 0.564
Ga 0.778 0.188 0.868
Ga 0.795 0.538 0.122
Ga 0.824 0.536 0.875
Ga 0.859 0.354 0.747
Ga 0.888 0.544 0.587
Ga 0.905 0.293 0.050
Ga 0.920 0.944 0.734
Ga 0.987 0.177 0.542
N 0.018 0.024 0.848
N 0.023 0.485 0.376
N 0.029 0.864 0.078
N 0.035 0.538 0.668
N 0.050 0.170 0.394
N 0.078 0.398 0.891
N 0.115 0.248 0.662
N 0.117 0.476 0.952
N 0.161 0.767 0.294
N 0.183 0.192 0.122
N 0.185 0.145 0.038
N 0.226 0.942 0.497
N 0.263 0.517 0.732
N 0.286 0.275 0.873
N 0.291 0.938 0.172
N 0.294 0.463 0.349
N 0.302 0.899 0.921
N 0.315 0.988 0.886
N 0.360 0.344 0.163
N 0.361 0.326 0.918
N 0.382 0.966 0.207
N 0.404 0.175 0.603
N 0.412 0.724 0.433
N 0.435 0.807 0.717
N 0.448 0.150 0.095
N 0.458 0.130 0.004
N 0.461 0.920 0.684
N 0.496 0.540 0.569
N 0.552 0.524 0.297
N 0.618 0.216 0.832
N 0.635 0.318 0.578
N 0.639 0.338 0.093
N 0.641 0.782 0.576
N 0.644 0.084 0.585
N 0.663 0.045 0.181
N 0.702 0.578 0.755
N 0.748 0.368 0.110
N 0.753 0.804 0.128
N 0.759 0.896 0.764
N 0.776 0.250 0.347
N 0.777 0.814 0.037
N 0.808 0.987 0.388
N 0.847 0.291 0.297
N 0.851 0.902 0.396
N 0.876 0.720 0.602
N 0.927 0.673 0.881
N 0.932 0.117 0.111
N 0.941 0.521 0.413
N 0.977 0.790 0.650
N 0.996 0.027 0.613

## Properties
ρ, g cm⁻³: 4.43
SG: P1 (1)
Energy of formation from the pure elements, eV per atom: 0.05